No. 1
Density functional theory data (PBE) for Er3Si3Ni after structural relaxation.

The structure in POSCAR format:
```
Er3Si3Ni
1.0
5.134 -2.082 0.000
5.134 2.082 0.000
-4.716 0.000 12.588
Er Si Ni
6 6 2
Direct
0.030 0.030 0.380
0.102 0.102 0.921
0.247 0.247 0.228
0.753 0.753 0.772
0.898 0.898 0.079
0.970 0.970 0.620
0.364 0.364 0.457
0.386 0.386 0.924
0.454 0.454 0.764
0.546 0.546 0.236
0.614 0.614 0.076
0.636 0.636 0.543
0.252 0.252 0.597
0.748 0.748 0.403
```

Output
Energy of formation (eV/f.u.): -5.8
SG: C2/m, No. 12
Final energy (eV per cell): -83.138

---

No. 2
Density functional theory data (PBE) for ErSi2Ni10 after structural relaxation.

The structure in POSCAR format:
```
ErSi2Ni10
1.0
8.147 0.000 0.000
0.000 8.147 0.000
0.000 0.000 4.663
Er Si Ni
2 4 20
Direct
0.250 0.250 0.222
0.750 0.750 0.778
0.000 0.000 0.500
0.000 0.500 0.500
0.500 0.000 0.500
0.500 0.500 0.500
0.000 0.000 0.000
0.000 0.500 0.000
0.028 0.250 0.729
0.103 0.750 0.761
0.250 0.028 0.729
0.250 0.472 0.729
0.250 0.603 0.239
0.250 0.897 0.239
0.397 0.750 0.761
0.472 0.250 0.729
0.500 0.000 0.000
0.500 0.500 0.000
0.528 0.750 0.271
0.603 0.250 0.239
0.750 0.103 0.761
0.750 0.397 0.761
0.750 0.528 0.271
0.750 0.972 0.271
0.897 0.250 0.239
0.972 0.750 0.271
```

Output
Energy of formation (eV/f.u.): -5.8
SG: P4/nmm, No. 129
Final energy (eV per cell): -158.055